Record 1
Entry from Materials Project: an optimized crystal structure of CeIr2 (GGA-PBE).

Unit cell a=5.3942 b=5.3942 c=5.3942 alpha=60.00 beta=60.00 gamma=60.00
Sites, in units of the cell vectors:
Ir: 0.1250 0.6250 0.6250
Ir: 0.6250 0.1250 0.6250
Ir: 0.6250 0.6250 0.6250
Ir: 0.6250 0.6250 0.1250
Ce: 0.2500 0.2500 0.2500
Ce: 0.0000 0.0000 0.0000

Crystal system ... cubic
Formation energy ... -0.796 eV/atom

=====

Record 2
Entry from Materials Project: an optimized crystal structure of Sr2CeIrO6 (GGA-PBE).

Unit cell a=5.9273 b=5.8701 c=10.1397 alpha=55.15 beta=90.00 gamma=90.00
Sites, in units of the cell vectors:
Ce: 0.5000 0.5000 0.5000
Ce: 0.0000 0.5000 0.0000
O: 0.7739 0.8409 0.9600
O: 0.7975 0.2331 0.5398
O: 0.9818 0.6888 0.7364
O: 0.2739 0.1591 0.5400
O: 0.7261 0.8409 0.4600
O: 0.0182 0.3112 0.2636
O: 0.7025 0.2331 0.0398
O: 0.2025 0.7669 0.4602
O: 0.2975 0.7669 0.9602
O: 0.2261 0.1591 0.0400
O: 0.5182 0.6888 0.2364
O: 0.4818 0.3112 0.7636
Sr: 0.0373 0.2388 0.7514
Sr: 0.9627 0.7612 0.2486
Sr: 0.4627 0.2388 0.2514
Sr: 0.5373 0.7612 0.7486
Ir: 0.5000 0.0000 0.0000
Ir: 0.0000 0.0000 0.5000

Crystal system ... monoclinic
Formation energy ... -2.842 eV/atom

=====

Record 3
Entry from Materials Project: an optimized crystal structure of CePIr (GGA-PBE).

Unit cell a=4.0310 b=4.0310 c=7.7545 alpha=105.07 beta=105.07 gamma=90.00
Sites, in units of the cell vectors:
P: 0.4200 0.9200 0.8399
P: 0.1700 0.1700 0.3399
Ir: 0.3349 0.3349 0.6698
Ir: 0.5849 0.0849 0.1698
Ce: 0.0007 0.5007 0.0013
Ce: 0.7507 0.7507 0.5013

Crystal system ... tetragonal
Formation energy ... -1.214 eV/atom

=====

Record 4
Entry from Materials Project: an optimized crystal structure of CeIrPt (GGA-PBE).

Unit cell a=5.4375 b=5.4375 c=5.4375 alpha=120.75 beta=119.44 gamma=89.84
Sites, in units of the cell vectors:
Ce: 0.8767 0.1267 0.7500
Ce: 0.1233 0.8733 0.2500
Pt: 0.5000 0.0000 0.0000
Pt: 0.5000 0.5000 0.5000
Ir: 0.0000 0.5000 0.5000
Ir: 0.5000 0.5000 0.0000

Crystal system ... orthorhombic
Formation energy ... -0.898 eV/atom

=====

Record 5
Entry from Materials Project: an optimized crystal structure of CeSi2Ir3 (GGA-PBE).

Unit cell a=5.5817 b=5.5817 c=3.7246 alpha=90.00 beta=90.00 gamma=120.00
Sites, in units of the cell vectors:
Si: 0.6667 0.3333 0.0000
Si: 0.3333 0.6667 0.0000
Ir: 0.5000 0.5000 0.5000
Ir: 0.5000 0.0000 0.5000
Ir: 0.0000 0.5000 0.5000
Ce: 0.0000 0.0000 0.0000

ΔE to the lowest computed polymorph ... 25 meV/atom
Crystal system ... hexagonal
Formation energy ... -0.915 eV/atom

=====

Record 6
Entry from Materials Project: an optimized crystal structure of CeSi2Ir2 (GGA-PBE).

Unit cell a=5.8723 b=5.8723 c=5.8723 alpha=138.18 beta=138.18 gamma=60.63
Sites, in units of the cell vectors:
Ir: 0.3667 0.3667 0.0000
Ir: 0.6333 0.6333 0.0000
Ce: 0.0000 0.0000 0.0000
Si: 0.7500 0.2500 0.5000
Si: 0.2500 0.7500 0.5000

Crystal system ... tetragonal
Formation energy ... -0.897 eV/atom

=====

Record 7
Entry from Materials Project: an optimized crystal structure of CeSi2Ir2 (GGA-PBE).

Unit cell a=4.1634 b=4.1634 c=9.9314 alpha=90.00 beta=90.00 gamma=90.00
Sites, in units of the cell vectors:
Ir: 0.0000 0.0000 0.5000
Ir: 0.0000 0.5000 0.1272
Ir: 0.5000 0.5000 0.5000
Ir: 0.5000 0.0000 0.8728
Ce: 0.5000 0.0000 0.2438
Ce: 0.0000 0.5000 0.7562
Si: 0.0000 0.0000 0.0000
Si: 0.5000 0.5000 0.0000
Si: 0.5000 0.0000 0.6300
Si: 0.0000 0.5000 0.3700

Crystal system ... tetragonal
Formation energy ... -1.058 eV/atom

=====

Record 8
Entry from Materials Project: an optimized crystal structure of CeSi2Ir3 (GGA-PBE).

Unit cell a=6.6977 b=6.6977 c=6.6977 alpha=130.34 beta=114.42 gamma=86.51
Sites, in units of the cell vectors:
Ir: 0.7819 0.5000 0.2819
Ir: 0.7181 0.0000 0.7181
Ir: 0.5000 0.5000 0.5000
Ir: 0.0000 0.5000 0.0000
Ir: 0.2181 0.5000 0.7181
Ir: 0.2819 0.0000 0.2819
Si: 0.9198 0.7210 0.8012
Si: 0.4198 0.6186 0.1988
Si: 0.5802 0.3814 0.8012
Si: 0.0802 0.2790 0.1988
Ce: 0.7500 0.0323 0.2823
Ce: 0.2500 0.9677 0.7177

ΔE to the lowest computed polymorph ... 0 meV/atom
Crystal system ... orthorhombic
Formation energy ... -0.941 eV/atom

=====

Question: Which of these has the highest formation energy?
Answer: CeIr2